First-principles (PBE) data for crystalline Na2Li3Ti3AlP6O24 at its relaxed geometry, as listed in Materials Project.

Properties
E_form ... -2.889 eV/atom
M_tot ... 1.998 μB/f.u.
DFT total energy ... -7.262 eV per atom
Calculated volume ... 12.181 Å³ per atom

Lattice parameters (Å, degrees): 8.7245 8.7245 21.6193 90.00 90.00 120.00
With the nearest neighbours (Å) after each atom.
Space group R3 (No. 146, hexagonal axes)
Asymmetric unit:
1 Na 0.0000 0.0000 0.0000 (multiplicity 3)  6 O 2.32-2.51
2 Na 0.0000 0.0000 0.4916 (multiplicity 3)  6 O 2.38-2.52
3 Li 0.0071 0.5994 0.2480 (multiplicity 9)  3 O 2.12-2.37
4 Ti 0.0000 0.0000 0.1382 (multiplicity 3)  6 O 2.01-2.02
5 Ti 0.0000 0.0000 0.3534 (multiplicity 3)  6 O 1.97-1.99
6 Ti 0.0000 0.0000 0.8470 (multiplicity 3)  6 O 1.95-2.12
7 Al 0.0000 0.0000 0.6465 (multiplicity 3)  6 O 1.85-2.01
8 P 0.0015 0.7099 0.7446 (multiplicity 9)  4 O 1.54-1.56
9 P 0.0081 0.2926 0.2469 (multiplicity 9)  4 O 1.53-1.57
10 O 0.0128 0.1905 0.9109 (multiplicity 9)  1 P 1.57
11 O 0.0161 0.8207 0.6866 (multiplicity 9)  1 P 1.55
12 O 0.0231 0.8315 0.4092 (multiplicity 9)  1 P 1.54
13 O 0.0338 0.2086 0.1886 (multiplicity 9)  1 P 1.53
14 O 0.1422 0.6827 0.4728 (multiplicity 9)  1 P 1.56
15 O 0.1537 0.4685 0.9708 (multiplicity 9)  1 P 1.53
16 O 0.1695 0.6948 0.7460 (multiplicity 9)  1 P 1.54
17 O 0.1747 0.4830 0.2517 (multiplicity 9)  1 P 1.57